# GdScS3, relaxed, DFT meta-GGA r2SCAN
# M_tot in μB/f.u.: 7.0
# Formation energy in kJ/mol of atoms: -218
# Calculated volume in Å³/f.u.: 108.0
data_GdScS3
_cell_length_a 7.0636
_cell_length_b 9.5337
_cell_length_c 6.4137
_cell_angle_alpha 90.00
_cell_angle_beta 90.00
_cell_angle_gamma 90.00
_symmetry_space_group_name_H-M 'P n m a'
_symmetry_Int_Tables_number 62
loop_
_symmetry_equiv_pos_as_xyz
'x,y,z'
'-x,-y,-z'
'-x+1/2,-y,z+1/2'
'x+1/2,y,-z+1/2'
'x+1/2,-y+1/2,-z+1/2'
'-x+1/2,y+1/2,z+1/2'
'-x,y+1/2,-z'
'x,-y+1/2,z'
loop_
_atom_site_label
_atom_site_fract_x
_atom_site_fract_y
_atom_site_fract_z
_atom_site_occupancy
Gd1 0.1006 0.2500 0.0397 1
Sc1 0.0000 0.0000 0.5000 1
S1 0.0452 0.7500 0.3600 1
S2 0.1847 0.5683 0.8240 1